LaGdBr2O2 | PBE | optimized geometry

Output
- calculated formation energy (eV per atom) = -3.168

Lattice parameters (Å, degrees): 4.035 4.035 8.049 90.00 90.00 90.00
Fractional coordinates of all 6 atoms:
La 0.000 0.000 0.848
Gd 0.500 0.500 0.145
Br 0.500 0.500 0.649
Br 0.000 0.000 0.347
O 0.500 0.000 0.005
O 0.000 0.500 0.005

---

Gd2Br3N | PBE | optimized geometry

Output
- calculated formation energy (eV per atom) = -1.929

Lattice parameters (Å, degrees): 8.400 8.459 10.384 106.79 104.37 98.47
Fractional coordinates of all 24 atoms:
Gd 0.100 0.842 0.271
Gd 0.900 0.158 0.729
Gd 0.574 0.920 0.359
Gd 0.426 0.080 0.641
Gd 0.300 0.240 0.323
Gd 0.700 0.760 0.677
Gd 0.153 0.921 0.940
Gd 0.847 0.079 0.060
Br 0.734 0.764 0.120
Br 0.266 0.236 0.880
Br 0.532 0.140 0.173
Br 0.468 0.860 0.827
Br 0.282 0.688 0.092
Br 0.718 0.312 0.908
Br 0.427 0.425 0.631
Br 0.573 0.575 0.369
Br 0.046 0.437 0.252
Br 0.954 0.563 0.748
Br 0.079 0.844 0.561
Br 0.921 0.156 0.439
N 0.348 0.023 0.405
N 0.652 0.977 0.595
N 0.099 0.027 0.147
N 0.901 0.973 0.853

---

Na3GdBr6 | PBE | optimized geometry

Output
- calculated formation energy (eV per atom) = -2.031

Lattice parameters (Å, degrees): 7.974 7.974 7.974 56.03 56.03 56.03
Fractional coordinates of all 10 atoms:
Na 0.690 0.690 0.690
Na 0.492 0.492 0.492
Na 0.193 0.193 0.193
Gd 0.996 0.996 0.996
Br 0.619 0.887 0.262
Br 0.262 0.619 0.887
Br 0.887 0.262 0.619
Br 0.097 0.782 0.376
Br 0.782 0.376 0.097
Br 0.376 0.097 0.782

---

Na3GdBr6 | PBE | optimized geometry

Output
- calculated formation energy (eV per atom) = -2.019

Lattice parameters (Å, degrees): 7.764 7.315 13.175 56.53 90.00 90.00
Fractional coordinates of all 20 atoms:
Na 0.919 0.709 0.267
Na 0.081 0.291 0.733
Na 0.581 0.709 0.767
Na 0.000 0.500 0.000
Na 0.500 0.500 0.500
Na 0.419 0.291 0.233
Gd 0.500 0.000 0.000
Gd 0.000 0.000 0.500
Br 0.819 0.615 0.566
Br 0.319 0.385 0.934
Br 0.565 0.900 0.239
Br 0.191 0.749 0.080
Br 0.681 0.615 0.066
Br 0.691 0.251 0.420
Br 0.435 0.100 0.761
Br 0.309 0.749 0.580
Br 0.809 0.251 0.920
Br 0.065 0.100 0.261
Br 0.181 0.385 0.434
Br 0.935 0.900 0.739

---

GdBrO2 | PBE | optimized geometry

Output
- calculated formation energy (eV per atom) = -2.021

Lattice parameters (Å, degrees): 3.833 6.064 6.931 64.59 90.00 90.00
Fractional coordinates of all 8 atoms:
Gd 0.250 0.204 0.597
Gd 0.750 0.796 0.403
Br 0.250 0.743 0.041
Br 0.750 0.257 0.959
O 0.250 0.598 0.577
O 0.750 0.402 0.423
O 0.250 0.039 0.352
O 0.750 0.961 0.648

---

GdSBr | PBE | optimized geometry

Output
- calculated formation energy (eV per atom) = -2.348

Lattice parameters (Å, degrees): 6.970 6.822 6.840 80.75 90.00 90.00
Fractional coordinates of all 12 atoms:
Gd 0.965 0.790 0.319
Gd 0.035 0.210 0.681
Gd 0.465 0.710 0.681
Gd 0.535 0.290 0.319
S 0.740 0.992 0.554
S 0.260 0.008 0.446
S 0.240 0.508 0.446
S 0.760 0.492 0.554
Br 0.616 0.713 0.085
Br 0.384 0.287 0.915
Br 0.116 0.787 0.915
Br 0.884 0.213 0.085

---

Gd3SiBr3 | PBE | optimized geometry

Output
- calculated formation energy (eV per atom) = -1.650

Lattice parameters (Å, degrees): 10.237 10.237 10.237 109.47 109.47 109.47
Fractional coordinates of all 28 atoms:
Gd 0.474 0.487 0.237
Gd 0.750 0.237 0.263
Gd 0.750 0.013 0.487
Gd 0.237 0.474 0.487
Gd 0.263 0.750 0.237
Gd 0.026 0.263 0.013
Gd 0.013 0.026 0.263
Gd 0.487 0.750 0.013
Gd 0.487 0.237 0.474
Gd 0.013 0.487 0.750
Gd 0.263 0.013 0.026
Gd 0.237 0.263 0.750
Si 0.250 0.250 0.250
Si 0.500 0.000 0.250
Si 0.000 0.250 0.500
Si 0.250 0.500 0.000
Br 0.250 0.755 0.745
Br 0.509 0.505 0.755
Br 0.991 0.745 0.995
Br 0.745 0.250 0.755
Br 0.995 0.991 0.745
Br 0.250 0.995 0.505
Br 0.755 0.509 0.505
Br 0.505 0.250 0.995
Br 0.755 0.745 0.250
Br 0.745 0.995 0.991
Br 0.995 0.505 0.250
Br 0.505 0.755 0.509

---

GeBr2 | PBE | optimized geometry

Output
- calculated formation energy (eV per atom) = -0.928

Lattice parameters (Å, degrees): 9.208 7.101 13.230 78.56 90.00 90.00
Fractional coordinates of all 24 atoms:
Ge 0.872 0.279 0.996
Ge 0.372 0.221 0.004
Ge 0.128 0.721 0.004
Ge 0.628 0.779 0.996
Ge 0.660 0.213 0.545
Ge 0.160 0.287 0.455
Ge 0.340 0.787 0.455
Ge 0.840 0.713 0.545
Br 0.870 0.286 0.652
Br 0.370 0.214 0.348
Br 0.130 0.714 0.348
Br 0.630 0.786 0.652
Br 0.664 0.403 0.103
Br 0.164 0.097 0.897
Br 0.336 0.597 0.897
Br 0.836 0.903 0.103
Br 0.562 0.166 0.874
Br 0.062 0.334 0.126
Br 0.438 0.834 0.126
Br 0.938 0.666 0.874
Br 0.806 0.061 0.415
Br 0.306 0.439 0.585
Br 0.194 0.939 0.585
Br 0.694 0.561 0.415

---

Going through the records in order, we get energy values of -0.6103, -0.6445, -0.3306, -0.3296, -0.5939, -0.6335, -0.6564, -0.2355 Ry per atom.